The following is a PBE with a Hubbard U calculation of an optimized crystal structure of K3VPCO7, from the Materials Project database.

Values from the calculation:
energy of formation: -31.0 eV per formula unit
mass density: 2.78 g/cm³
total magnetization: 0.0 μB per formula unit
E (MP2020): -7.13 eV per atom

Lattice parameters (Å, degrees): 5.6964 9.6737 13.9907 90.00 90.00 89.95
Positions (direct):
O: 0.5202 0.5207 0.8749
O: 0.7365 0.9458 0.3750
O: 0.2635 0.0542 0.6250
O: 0.2635 0.0542 0.1250
O: 0.4497 0.8462 0.1250
O: 0.7633 0.3234 0.2154
O: 0.9421 0.1467 0.3750
O: 0.0832 0.4653 0.3749
O: 0.7365 0.9458 0.8750
O: 0.0578 0.8533 0.6250
O: 0.0832 0.4654 0.8750
O: 0.2369 0.6765 0.9654
O: 0.5503 0.1538 0.8750
O: 0.7631 0.3236 0.5346
O: 0.9168 0.5346 0.1251
O: 0.5203 0.5207 0.3749
O: 0.0579 0.8533 0.1250
O: 0.7633 0.3234 0.7153
O: 0.2367 0.6766 0.7847
O: 0.4798 0.4793 0.1251
O: 0.4497 0.8462 0.6250
O: 0.4798 0.4793 0.6251
O: 0.7632 0.3235 0.0346
O: 0.9421 0.1467 0.8750
O: 0.9168 0.5346 0.6250
O: 0.2369 0.6765 0.4654
O: 0.5503 0.1538 0.3750
O: 0.2367 0.6766 0.2846
V: 0.7622 0.3481 0.8750
V: 0.2378 0.6519 0.1250
V: 0.7622 0.3481 0.3750
V: 0.2378 0.6519 0.6250
C: 0.2571 0.9213 0.1250
C: 0.2571 0.9213 0.6250
C: 0.7429 0.0787 0.3750
C: 0.7429 0.0787 0.8750
P: 0.2676 0.5830 0.3750
P: 0.7324 0.4169 0.1250
P: 0.2676 0.5831 0.8750
P: 0.7324 0.4169 0.6250
K: 0.2570 0.2873 0.5048
K: 0.7578 0.0717 0.1250
K: 0.2422 0.9283 0.8750
K: 0.2570 0.2873 0.0048
K: 0.7430 0.7127 0.2548
K: 0.7578 0.0717 0.6250
K: 0.7430 0.7127 0.4952
K: 0.7430 0.7127 0.9952
K: 0.2570 0.2873 0.7452
K: 0.2570 0.2873 0.2452
K: 0.2422 0.9283 0.3750
K: 0.7430 0.7127 0.7548


The following is a PBE with a Hubbard U calculation of an optimized crystal structure of Li9Mn2Co5O16, from the Materials Project database.

Values from the calculation:
energy of formation: -57.0 eV per formula unit
ΔE to the lowest computed polymorph: 2.65 eV/f.u.
mass density: 4.16 g/cm³
total magnetization: 18.0 μB per formula unit
E (MP2020): -6.48 eV per atom

Lattice parameters (Å, degrees): 2.9236 5.1086 19.4013 85.29 90.00 90.00
Positions (direct):
Co: 0.0000 0.5017 0.5013
Co: 0.0000 0.2492 0.2504
Co: 0.5000 0.7503 0.2501
Co: 0.5000 0.2497 0.7499
Co: 0.5000 0.4988 0.9983
O: 0.0000 0.3012 0.0534
O: 0.5000 0.9813 0.6947
O: 0.0000 0.0767 0.8052
O: 0.0000 0.5582 0.3088
O: 0.5000 0.4329 0.1906
O: 0.5000 0.3343 0.5583
O: 0.0000 0.9410 0.1918
O: 0.0000 0.4248 0.6945
O: 0.0000 0.8288 0.5575
O: 0.5000 0.0682 0.3097
O: 0.5000 0.8394 0.0557
O: 0.5000 0.5194 0.8054
O: 0.5000 0.6719 0.4430
O: 0.0000 0.1729 0.4457
O: 0.5000 0.1545 0.9429
O: 0.0000 0.6974 0.9430
Mn: 0.0000 0.9982 0.9987
Mn: 0.5000 0.0011 0.5016
Li: 0.0000 0.7505 0.7496
Li: 0.5000 0.3803 0.3719
Li: 0.5000 0.1273 0.1272
Li: 0.0000 0.1333 0.6332
Li: 0.5000 0.8655 0.8660
Li: 0.0000 0.3729 0.8661
Li: 0.0000 0.6214 0.1294
Li: 0.0000 0.8699 0.3712
Li: 0.5000 0.6268 0.6351


The following is a PBE with a Hubbard U calculation of an optimized crystal structure of LaCrTeO6, from the Materials Project database.

Values from the calculation:
energy of formation: -23.0 eV per formula unit
ΔE to the lowest computed polymorph: 0.00 eV/f.u.
mass density: 5.53 g/cm³
total magnetization: 3.0 μB per formula unit
E (MP2020): -7.82 eV per atom

Lattice parameters (Å, degrees): 5.2495 5.2498 10.4367 90.00 90.00 120.00
Positions (direct):
O: 0.0100 0.6352 0.6449
O: 0.9900 0.3648 0.3551
O: 0.3648 0.9899 0.8552
O: 0.6252 0.6351 0.8552
O: 0.6352 0.6252 0.3552
O: 0.6253 0.9900 0.6449
O: 0.6352 0.0101 0.1448
O: 0.9901 0.6253 0.1448
O: 0.3648 0.3748 0.6448
O: 0.0099 0.3747 0.8552
O: 0.3747 0.0100 0.3551
O: 0.3748 0.3649 0.1448
Te: 0.6666 0.3333 0.2500
Te: 0.3334 0.6667 0.7500
La: 0.0000 0.0000 0.5000
La: 0.0000 0.0000 0.0000
Cr: 0.6667 0.3333 0.7500
Cr: 0.3333 0.6667 0.2500


The following is a PBE with a Hubbard U calculation of an optimized crystal structure of AlW2O4, from the Materials Project database.

Values from the calculation:
energy of formation: -11.5 eV per formula unit
ΔE to the lowest computed polymorph: 0.44 eV/f.u.
mass density: 9.35 g/cm³
total magnetization: 3.9 μB per formula unit
E (MP2020): -8.70 eV per atom

Lattice parameters (Å, degrees): 6.3883 6.3883 5.3885 67.83 67.83 106.80
Positions (direct):
W: 0.0000 0.5000 0.0000
W: 0.5000 0.0000 0.5000
W: 0.5000 0.5000 0.5000
W: 0.5000 0.5000 0.0000
O: 0.9140 0.6071 0.3107
O: 0.7570 0.9149 0.2185
O: 0.2430 0.0851 0.7815
O: 0.6071 0.9140 0.8107
O: 0.3929 0.0860 0.1893
O: 0.0851 0.2430 0.2815
O: 0.0860 0.3929 0.6893
O: 0.9149 0.7570 0.7185
Al: 0.9331 0.0669 0.7500
Al: 0.0669 0.9331 0.2500


The following is a PBE with a Hubbard U calculation of an optimized crystal structure of NbNi11B4O20, from the Materials Project database.

Values from the calculation:
energy of formation: -67.0 eV per formula unit
mass density: 5.23 g/cm³
total magnetization: 21.0 μB per formula unit
E (MP2020): -7.40 eV per atom

Lattice parameters (Å, degrees): 6.1284 6.1284 21.8255 79.96 79.96 60.67
Positions (direct):
O: 0.1942 0.4842 0.5998
O: 0.6588 0.5437 0.1965
O: 0.5314 0.0658 0.3998
O: 0.8767 0.7573 0.4868
O: 0.9620 0.8335 0.3003
O: 0.9580 0.3333 0.3020
O: 0.0420 0.6667 0.6980
O: 0.0380 0.1665 0.6997
O: 0.5437 0.6588 0.6965
O: 0.1233 0.2427 0.5132
O: 0.6976 0.4821 0.5985
O: 0.1665 0.0380 0.1997
O: 0.5362 0.1844 0.7034
O: 0.0648 0.0332 0.8997
O: 0.9668 0.9352 0.6003
O: 0.8335 0.9620 0.8003
O: 0.4638 0.8156 0.2966
O: 0.2427 0.1233 0.0132
O: 0.3855 0.7565 0.4858
O: 0.7573 0.8767 0.9868
O: 0.0332 0.0648 0.3997
O: 0.4842 0.1942 0.0998
O: 0.3412 0.4563 0.8035
O: 0.5179 0.3024 0.9015
O: 0.6667 0.0420 0.1980
O: 0.1844 0.5362 0.2034
O: 0.5158 0.8058 0.9002
O: 0.2435 0.6145 0.0142
O: 0.7565 0.3855 0.9858
O: 0.9342 0.4686 0.1002
O: 0.6145 0.2435 0.5142
O: 0.8156 0.4638 0.7966
O: 0.0658 0.5314 0.8998
O: 0.8058 0.5158 0.4002
O: 0.3333 0.9580 0.8020
O: 0.4821 0.6976 0.0985
O: 0.9352 0.9668 0.1003
O: 0.4686 0.9342 0.6002
O: 0.4563 0.3412 0.3035
O: 0.3024 0.5179 0.4015
Ni: 0.2031 0.0826 0.1066
Ni: 0.7935 0.4243 0.8910
Ni: 0.1929 0.8071 0.7500
Ni: 0.1828 0.3189 0.7504
Ni: 0.3189 0.1828 0.2504
Ni: 0.5035 0.2482 0.0007
Ni: 0.6811 0.8172 0.7496
Ni: 0.8172 0.6811 0.2496
Ni: 0.0000 0.0000 0.0000
Ni: 0.7969 0.9174 0.8934
Ni: 0.4243 0.7935 0.3910
Ni: 0.5000 0.0000 0.5000
Ni: 0.0000 0.5000 0.0000
Ni: 0.4965 0.7518 0.9993
Ni: 0.8071 0.1929 0.2500
Ni: 0.7518 0.4965 0.4993
Ni: 0.9174 0.7969 0.3934
Ni: 0.2065 0.5757 0.1090
Ni: 0.2482 0.5035 0.5007
Ni: 0.0000 0.0000 0.5000
Ni: 0.0826 0.2031 0.6066
Ni: 0.5757 0.2065 0.6090
B: 0.4307 0.3062 0.3699
B: 0.9319 0.3041 0.3680
B: 0.6959 0.0681 0.1320
B: 0.3041 0.9319 0.8680
B: 0.5693 0.6938 0.6301
B: 0.0681 0.6959 0.6320
B: 0.6938 0.5693 0.1301
B: 0.3062 0.4307 0.8699
Nb: 0.2797 0.7203 0.2500
Nb: 0.7203 0.2797 0.7500


The following is a PBE with a Hubbard U calculation of an optimized crystal structure of LiFeBO3, from the Materials Project database.

Values from the calculation:
energy of formation: -13.7 eV per formula unit
ΔE to the lowest computed polymorph: 0.29 eV/f.u.
mass density: 3.21 g/cm³
total magnetization: 0.0 μB per formula unit
E (MP2020): -7.60 eV per atom

Lattice parameters (Å, degrees): 3.1256 8.3525 14.4542 89.94 89.99 90.00
Positions (direct):
O: 0.0000 0.3613 0.4461
O: 0.5001 0.8476 0.2963
O: 0.5001 0.3476 0.7963
O: 0.5021 0.1331 0.6083
O: 0.5000 0.0209 0.4284
O: 0.0000 0.6499 0.4575
O: 0.0000 0.8612 0.9461
O: 0.5002 0.5211 0.2622
O: 0.4980 0.6330 0.1083
O: 0.4997 0.6323 0.7755
O: 0.0000 0.1497 0.9574
O: 0.5003 0.3467 0.1294
O: 0.4997 0.1323 0.2755
O: 0.5000 0.0212 0.7622
O: 0.5000 0.8467 0.6294
O: 0.5000 0.5209 0.9284
O: 0.9999 0.9880 0.0961
O: 0.0001 0.4882 0.5961
Fe: 0.4998 0.8518 0.1588
Fe: 0.5000 0.8357 0.8467
Fe: 0.5000 0.3120 0.9946
Fe: 0.5000 0.8120 0.4946
Fe: 0.5001 0.3358 0.3467
Fe: 0.4999 0.3517 0.6588
B: 0.0000 0.9997 0.9999
B: 0.0000 0.4998 0.4999
B: 0.4999 0.0002 0.3334
B: 0.4996 0.5003 0.1667
B: 0.5000 0.5003 0.8334
B: 0.5006 0.0003 0.6667
Li: 0.0001 0.1891 0.1791
Li: 0.9999 0.6366 0.0053
Li: 0.9999 0.1735 0.8159
Li: 0.0000 0.6735 0.3159
Li: 0.0001 0.1367 0.5053
Li: 0.0000 0.6891 0.6791


The following is a PBE with a Hubbard U calculation of an optimized crystal structure of Li3Mn4O8, from the Materials Project database.

Values from the calculation:
energy of formation: -30.1 eV per formula unit
ΔE to the lowest computed polymorph: 1.36 eV/f.u.
mass density: 3.71 g/cm³
total magnetization: 15.0 μB per formula unit
E (MP2020): -7.47 eV per atom

Lattice parameters (Å, degrees): 5.7243 9.3767 12.2818 88.59 89.97 89.82
Positions (direct):
O: 0.9891 0.8382 0.1143
O: 0.9782 0.8068 0.5670
O: 0.2436 0.0674 0.6392
O: 0.7502 0.3149 0.0606
O: 0.7407 0.3757 0.2696
O: 0.9947 0.4307 0.8505
O: 0.2392 0.9385 0.3492
O: 0.4954 0.1609 0.8885
O: 0.9947 0.1605 0.8848
O: 0.2506 0.6847 0.9395
O: 0.4931 0.4390 0.8506
O: 0.2404 0.3404 0.6074
O: 0.7401 0.0616 0.6506
O: 0.5001 0.1217 0.2230
O: 0.2423 0.6244 0.7306
O: 0.2426 0.6618 0.3806
O: 0.7426 0.9325 0.3608
O: 0.9869 0.1362 0.2167
O: 0.9905 0.5605 0.1494
O: 0.7411 0.3381 0.6195
O: 0.9994 0.8776 0.7764
O: 0.2385 0.3592 0.2805
O: 0.4777 0.1928 0.4329
O: 0.4861 0.8648 0.7837
O: 0.4921 0.5700 0.1496
O: 0.7404 0.6810 0.9345
O: 0.7417 0.6595 0.3927
O: 0.7397 0.6409 0.7195
O: 0.4882 0.8404 0.1119
O: 0.5019 0.8070 0.5680
O: 0.2400 0.3187 0.0655
O: 0.0014 0.1932 0.4320
Mn: 0.4937 0.1957 0.6047
Mn: 0.2402 0.6943 0.1132
Mn: 0.2424 0.1479 0.3290
Mn: 0.7391 0.6950 0.1011
Mn: 0.2427 0.3050 0.8990
Mn: 0.7406 0.1593 0.3357
Mn: 0.4926 0.6520 0.8360
Mn: 0.9937 0.6511 0.8383
Mn: 0.9892 0.1953 0.6053
Mn: 0.9937 0.8041 0.3952
Mn: 0.9913 0.3473 0.1640
Mn: 0.4924 0.3497 0.1618
Mn: 0.7427 0.8522 0.6710
Mn: 0.2407 0.8408 0.6641
Mn: 0.7448 0.3057 0.8867
Mn: 0.4891 0.8048 0.3951
Li: 0.7317 0.9340 0.2051
Li: 0.2528 0.8867 0.9357
Li: 0.2408 0.9672 0.1757
Li: 0.7289 0.1133 0.0644
Li: 0.4750 0.4596 0.6864
Li: 0.7478 0.0329 0.8241
Li: 0.7394 0.6387 0.5506
Li: 0.2399 0.0655 0.7949
Li: 0.0064 0.4587 0.6876
Li: 0.2407 0.3614 0.4496
Li: 0.5081 0.5422 0.3123
Li: 0.9764 0.5397 0.3138


The following is a PBE with a Hubbard U calculation of an optimized crystal structure of MgFe3Co5O16, from the Materials Project database.

Values from the calculation:
energy of formation: -31.3 eV per formula unit
ΔE to the lowest computed polymorph: 1.02 eV/f.u.
mass density: 4.75 g/cm³
total magnetization: 19.0 μB per formula unit
E (MP2020): -6.92 eV per atom

Lattice parameters (Å, degrees): 5.7333 5.7964 8.9310 89.85 92.30 118.80
Positions (direct):
Mg: 0.8258 0.1732 0.4469
Co: 0.1604 0.8415 0.2013
Co: 0.1662 0.3441 0.2004
Co: 0.3405 0.6654 0.4815
Co: 0.6608 0.3396 0.9848
Co: 0.3423 0.1677 0.7054
O: 0.9552 0.4582 0.8605
O: 0.6810 0.8507 0.5956
O: 0.8251 0.1830 0.1022
O: 0.0332 0.0078 0.8191
O: 0.8369 0.6647 0.0941
O: 0.1751 0.3377 0.5974
O: 0.0073 0.0197 0.3053
O: 0.5181 0.4668 0.8373
O: 0.4652 0.9481 0.3433
O: 0.4662 0.5177 0.3387
O: 0.1909 0.8347 0.6015
O: 0.6722 0.3139 0.6048
O: 0.3435 0.1939 0.1042
O: 0.0424 0.5069 0.3415
O: 0.2951 0.6601 0.0947
O: 0.4989 0.0416 0.8523
Fe: 0.8531 0.6664 0.7076
Fe: 0.8268 0.1506 0.7427
Fe: 0.6512 0.8234 0.1901


The following is a PBE with a Hubbard U calculation of an optimized crystal structure of BaSmMn4O12, from the Materials Project database.

Values from the calculation:
energy of formation: -33.7 eV per formula unit
mass density: 5.16 g/cm³
total magnetization: 10.9 μB per formula unit
E (MP2020): -7.58 eV per atom

Lattice parameters (Å, degrees): 5.4237 5.4237 7.6445 90.00 90.00 90.00
Positions (direct):
O: 0.5000 0.0000 0.0000
O: 0.5000 0.0000 0.5000
O: 0.7613 0.7613 0.2705
O: 0.2387 0.7613 0.7295
O: 0.2387 0.2387 0.7295
O: 0.0000 0.5000 0.0000
O: 0.7613 0.2387 0.7295
O: 0.0000 0.5000 0.5000
O: 0.7613 0.7613 0.7295
O: 0.7613 0.2387 0.2705
O: 0.2387 0.7613 0.2705
O: 0.2387 0.2387 0.2705
Sm: 0.0000 0.0000 0.5000
Mn: 0.5000 0.0000 0.7511
Mn: 0.0000 0.5000 0.2489
Mn: 0.0000 0.5000 0.7511
Mn: 0.5000 0.0000 0.2489
Ba: 0.5000 0.5000 0.0000


The following is a PBE with a Hubbard U calculation of an optimized crystal structure of MgCd2Te2Mo2O12, from the Materials Project database.

Values from the calculation:
energy of formation: -31.7 eV per formula unit
ΔE to the lowest computed polymorph: 2.46 eV/f.u.
mass density: 5.77 g/cm³
total magnetization: 2.0 μB per formula unit
E (MP2020): -6.45 eV per atom

Lattice parameters (Å, degrees): 5.2120 5.2120 9.4094 90.00 90.00 89.71
Positions (direct):
Te: 0.0000 0.5000 0.2273
Te: 0.5000 0.0000 0.7488
O: 0.7059 0.2059 0.2571
O: 0.2559 0.2441 0.0626
O: 0.6939 0.1939 0.6053
O: 0.8354 0.6646 0.3946
O: 0.7441 0.7559 0.0626
O: 0.2941 0.7941 0.2571
O: 0.3061 0.8061 0.6053
O: 0.1646 0.3354 0.3946
O: 0.1948 0.3052 0.7452
O: 0.8052 0.6948 0.7452
O: 0.2430 0.7430 0.9499
O: 0.7570 0.2570 0.9499
Mo: 0.0000 0.5000 0.8998
Mo: 0.5000 0.0000 0.1171
Mg: 0.0000 0.5000 0.5972
Cd: 0.5000 0.5000 0.4652
Cd: 0.0000 0.0000 0.4652


Among the records above, which one has the highest energy of formation?
AlW2O4


E (MP2020) of number 8 (MgFe3Co5O16)?
-6.92 eV per atom


Repeat the sixth record exactly.
The following is a PBE with a Hubbard U calculation of an optimized crystal structure of LiFeBO3, from the Materials Project database.

Values from the calculation:
energy of formation: -13.7 eV per formula unit
ΔE to the lowest computed polymorph: 0.29 eV/f.u.
mass density: 3.21 g/cm³
total magnetization: 0.0 μB per formula unit
E (MP2020): -7.60 eV per atom

Lattice parameters (Å, degrees): 3.1256 8.3525 14.4542 89.94 89.99 90.00
Positions (direct):
O: 0.0000 0.3613 0.4461
O: 0.5001 0.8476 0.2963
O: 0.5001 0.3476 0.7963
O: 0.5021 0.1331 0.6083
O: 0.5000 0.0209 0.4284
O: 0.0000 0.6499 0.4575
O: 0.0000 0.8612 0.9461
O: 0.5002 0.5211 0.2622
O: 0.4980 0.6330 0.1083
O: 0.4997 0.6323 0.7755
O: 0.0000 0.1497 0.9574
O: 0.5003 0.3467 0.1294
O: 0.4997 0.1323 0.2755
O: 0.5000 0.0212 0.7622
O: 0.5000 0.8467 0.6294
O: 0.5000 0.5209 0.9284
O: 0.9999 0.9880 0.0961
O: 0.0001 0.4882 0.5961
Fe: 0.4998 0.8518 0.1588
Fe: 0.5000 0.8357 0.8467
Fe: 0.5000 0.3120 0.9946
Fe: 0.5000 0.8120 0.4946
Fe: 0.5001 0.3358 0.3467
Fe: 0.4999 0.3517 0.6588
B: 0.0000 0.9997 0.9999
B: 0.0000 0.4998 0.4999
B: 0.4999 0.0002 0.3334
B: 0.4996 0.5003 0.1667
B: 0.5000 0.5003 0.8334
B: 0.5006 0.0003 0.6667
Li: 0.0001 0.1891 0.1791
Li: 0.9999 0.6366 0.0053
Li: 0.9999 0.1735 0.8159
Li: 0.0000 0.6735 0.3159
Li: 0.0001 0.1367 0.5053
Li: 0.0000 0.6891 0.6791